Entry from the Materials Project database: a relaxed YbSb2 crystal (r2SCAN).

```
YbSb2
1.0
-1.7706 -3.9332 -0.1106
-1.1941 0.6521 -4.0733
6.8469 -2.9489 -4.7432
Sb Yb
4 2
Direct
0.7500 0.2494 0.5013
0.7500 0.5687 0.8626
0.2500 0.7506 0.4987
0.2500 0.4313 0.1374
0.2500 0.1097 0.7806
0.7500 0.8903 0.2194
```

Results
The value obtained for the energy relative to the elements is -15.29 kcal/mol of atoms. The crystal system is orthorhombic. As for the mass density: 8.71 g/cm3. The calculated volume comes out at 26.47 Å³ per atom.



Entry from the Materials Project database: a relaxed ZnSb2 crystal (r2SCAN).

```
ZnSb2
1.0
0.0000 0.0000 3.2265
6.8340 0.0000 0.0000
0.0000 6.8340 0.0000
Sb Zn
4 2
Direct
0.2500 0.6471 0.8529
0.2500 0.3529 0.1471
0.7500 0.8529 0.3529
0.7500 0.1471 0.6471
0.0000 0.0000 0.0000
0.5000 0.5000 0.5000
```

Results
The value obtained for the energy relative to the elements is 2.32 kcal/mol of atoms. The crystal system is tetragonal. As for the mass density: 6.81 g/cm3. The calculated volume comes out at 25.11 Å³ per atom.



Entry from the Materials Project database: a relaxed Zn6Sb5 crystal (r2SCAN).

```
Zn6Sb5
1.0
6.0900 3.5161 4.0790
-6.0900 3.5161 4.0790
0.0000 -7.0322 4.0790
Zn Sb
12 10
Direct
0.9838 0.6584 0.0640
0.4838 0.5640 0.1584
0.0162 0.3416 0.9360
0.9360 0.0162 0.3416
0.0640 0.9838 0.6584
0.1584 0.4838 0.5640
0.5640 0.1584 0.4838
0.5162 0.4360 0.8416
0.3416 0.9360 0.0162
0.4360 0.8416 0.5162
0.8416 0.5162 0.4360
0.6584 0.0640 0.9838
0.2500 0.6064 0.8936
0.1356 0.1356 0.1356
0.7500 0.3936 0.1064
0.6356 0.6356 0.6356
0.3936 0.1064 0.7500
0.1064 0.7500 0.3936
0.8644 0.8644 0.8644
0.6064 0.8936 0.2500
0.3644 0.3644 0.3644
0.8936 0.2500 0.6064
```

Results
The value obtained for the energy relative to the elements is -0.60 kcal/mol of atoms. The energy relative to the lowest polymorph listed for this composition comes out at 0 meV per atom. The crystal system is trigonal. As for the mass density: 6.35 g/cm3. The calculated volume comes out at 23.82 Å³ per atom.



Entry from the Materials Project database: a relaxed ZnSb crystal (r2SCAN).

```
ZnSb
1.0
6.2227 0.0000 0.0000
0.0000 7.7340 0.0000
0.0000 0.0000 8.1402
Zn Sb
8 8
Direct
0.5392 0.6038 0.6265
0.9608 0.3962 0.1265
0.4608 0.3962 0.3735
0.0392 0.8962 0.3735
0.0392 0.6038 0.8735
0.4608 0.1038 0.8735
0.5392 0.8962 0.1265
0.9608 0.1038 0.6265
0.1409 0.0841 0.1088
0.6409 0.4159 0.8912
0.3591 0.9159 0.6088
0.8591 0.9159 0.8912
0.1409 0.4159 0.6088
0.8591 0.5841 0.3912
0.6409 0.0841 0.3912
0.3591 0.5841 0.1088
```

Results
The value obtained for the energy relative to the elements is -1.42 kcal/mol of atoms. The crystal system is orthorhombic. As for the mass density: 6.35 g/cm3. The calculated volume comes out at 24.48 Å³ per atom.



Entry from the Materials Project database: a relaxed Zn6Sb5 crystal (r2SCAN).

```
Zn6Sb5
1.0
-4.4049 4.7677 4.9123
-5.8075 -0.8638 -5.6384
-1.7056 -6.9255 3.9233
Sb Zn
10 12
Direct
0.7500 0.1244 0.3756
0.8756 0.6244 0.2500
0.3756 0.7500 0.1244
0.1260 0.1260 0.1260
0.2500 0.8756 0.6244
0.6260 0.6260 0.6260
0.3740 0.3740 0.3740
0.1244 0.3756 0.7500
0.6244 0.2500 0.8756
0.8740 0.8740 0.8740
0.5011 0.8817 0.8731
0.9989 0.6269 0.6183
0.0011 0.3731 0.3817
0.8817 0.8731 0.5011
0.1269 0.4989 0.1183
0.8731 0.5011 0.8817
0.3731 0.3817 0.0011
0.4989 0.1183 0.1269
0.3817 0.0011 0.3731
0.1183 0.1269 0.4989
0.6183 0.9989 0.6269
0.6269 0.6183 0.9989
```

Results
The value obtained for the energy relative to the elements is 4.65 kcal/mol of atoms. The energy relative to the lowest polymorph listed for this composition comes out at 228 meV per atom. The crystal system is trigonal. As for the mass density: 6.25 g/cm3. The calculated volume comes out at 24.17 Å³ per atom.



Entry from the Materials Project database: a relaxed Zn13Sb10 crystal (r2SCAN).

```
Zn13Sb10
1.0
-9.4283 -0.3006 -5.4089
-2.9925 -10.3494 5.8523
-3.3138 13.7746 10.0993
Sb Zn
40 52
Direct
0.8381 0.0699 0.8055
0.1463 0.2822 0.5669
0.2179 0.5844 0.1747
0.9169 0.6638 0.6935
0.6927 0.7849 0.8693
0.8935 0.0370 0.0648
0.2042 0.5955 0.5519
0.1065 0.9630 0.9352
0.5519 0.1616 0.9373
0.4106 0.1584 0.6923
0.7958 0.4045 0.4481
0.6045 0.4824 0.9404
0.8116 0.7100 0.1258
0.1619 0.9301 0.1945
0.2951 0.9072 0.4539
0.6771 0.4309 0.2036
0.0831 0.3362 0.3065
0.1884 0.2900 0.8742
0.7821 0.4156 0.8253
0.4481 0.8384 0.0627
0.2647 0.9004 0.8133
0.0392 0.6516 0.9453
0.5894 0.8416 0.3077
0.8537 0.7178 0.4331
0.5657 0.4468 0.6212
0.9608 0.3484 0.0547
0.6490 0.7794 0.5668
0.3510 0.2206 0.4332
0.9429 0.0455 0.3749
0.3955 0.5176 0.0596
0.0207 0.6591 0.3166
0.4668 0.8247 0.6743
0.9793 0.3409 0.6834
0.3073 0.2151 0.1307
0.7049 0.0928 0.5461
0.5332 0.1753 0.3257
0.4343 0.5532 0.3788
0.0571 0.9546 0.6251
0.3229 0.5691 0.7964
0.7353 0.0996 0.1867
0.2339 0.0799 0.7554
0.5237 0.9382 0.8526
0.8073 0.1536 0.9667
0.1927 0.8464 0.0333
0.2495 0.8030 0.2918
0.9955 0.4195 0.9252
0.5109 0.6503 0.7336
0.4288 0.7800 0.8962
0.8862 0.9488 0.4894
0.5971 0.0302 0.7392
0.6405 0.7181 0.9957
0.4534 0.1079 0.5307
0.9066 0.8634 0.8243
0.5712 0.2200 0.1038
0.9369 0.4437 0.2160
0.0045 0.5805 0.0748
0.8277 0.3123 0.2888
0.6151 0.5462 0.5068
0.6156 0.6248 0.1707
0.0934 0.1366 0.1757
0.7383 0.5764 0.7519
0.1302 0.1933 0.9894
0.2617 0.4236 0.2481
0.2299 0.6723 0.4223
0.2498 0.8259 0.5770
0.7661 0.9201 0.2446
0.1723 0.6877 0.7112
0.7701 0.3277 0.5777
0.5466 0.8921 0.4693
0.7505 0.1970 0.7082
0.9477 0.6022 0.5315
0.2896 0.6317 0.9625
0.0523 0.3978 0.4685
0.4107 0.7417 0.1772
0.9897 0.8356 0.2589
0.8615 0.8694 0.6683
0.8698 0.8067 0.0106
0.4763 0.0618 0.1474
0.5893 0.2583 0.8228
0.4029 0.9698 0.2608
0.3849 0.4538 0.4932
0.4891 0.3497 0.2664
0.6334 0.6391 0.3409
0.1138 0.0512 0.5106
0.0631 0.5563 0.7840
0.3844 0.3752 0.8293
0.7104 0.3683 0.0375
0.0103 0.1644 0.7411
0.3666 0.3609 0.6591
0.3595 0.2819 0.0043
0.7502 0.1741 0.4230
0.1385 0.1306 0.3317
```

Results
The value obtained for the energy relative to the elements is -0.87 kcal/mol of atoms. The crystal system is triclinic. As for the mass density: 6.39 g/cm3. The calculated volume comes out at 23.38 Å³ per atom.



Entry from the Materials Project database: a relaxed ZnSb3 crystal (r2SCAN).

```
ZnSb3
1.0
-1.0986 -4.7822 1.6954
-4.8392 -1.1904 1.4547
-2.8761 -3.1906 -2.9152
Sb Zn
3 1
Direct
0.0000 0.0000 0.0000
0.2500 0.2500 0.2500
0.5000 0.5000 0.5000
0.7500 0.7500 0.7500
```

Results
The value obtained for the energy relative to the elements is 9.29 kcal/mol of atoms. The crystal system is cubic. As for the mass density: 7.23 g/cm3. The calculated volume comes out at 24.73 Å³ per atom.



Entry from the Materials Project database: a relaxed Zr7Sb4 crystal (r2SCAN).

```
Zr7Sb4
1.0
8.5149 -0.4965 0.0000
-3.5308 10.5912 0.0000
0.0000 0.0000 11.2287
Zr Sb
28 16
Direct
0.3395 0.0175 0.7375
0.3533 0.1721 0.2771
0.3650 0.3651 0.0586
0.3957 0.8404 0.9394
0.3533 0.6721 0.2229
0.0138 0.4300 0.2058
0.6467 0.3279 0.7771
0.6605 0.4825 0.2375
0.6043 0.1596 0.0606
0.6350 0.1349 0.5586
0.9862 0.0700 0.7058
0.2022 0.5548 0.4994
0.6467 0.8279 0.7229
0.3957 0.3404 0.5606
0.6605 0.9825 0.2625
0.6350 0.6349 0.9414
0.9862 0.5700 0.7942
0.9886 0.2893 0.9213
0.2022 0.0548 0.0006
0.7978 0.4452 0.5006
0.0138 0.9300 0.2942
0.3650 0.8651 0.4414
0.7978 0.9452 0.9994
0.0114 0.7107 0.0787
0.3395 0.5175 0.7625
0.9886 0.7893 0.5787
0.6043 0.6596 0.4394
0.0114 0.2107 0.4213
0.6793 0.0783 0.8236
0.0119 0.6610 0.3465
0.3207 0.9217 0.1764
0.7140 0.7487 0.1826
0.2860 0.7513 0.6826
0.2265 0.5615 0.9926
0.7735 0.9385 0.4926
0.7735 0.4385 0.0074
0.6793 0.5783 0.6764
0.9881 0.3390 0.6535
0.9881 0.8390 0.8465
0.2265 0.0615 0.5074
0.3207 0.4217 0.3236
0.2860 0.2513 0.8174
0.0119 0.1610 0.1535
0.7140 0.2487 0.3174
```

Results
The value obtained for the energy relative to the elements is -17.64 kcal/mol of atoms. The crystal system is monoclinic. As for the mass density: 7.53 g/cm3. The calculated volume comes out at 22.57 Å³ per atom.



Entry from the Materials Project database: a relaxed ZrSb2 crystal (r2SCAN).

```
ZrSb2
1.0
-2.5349 -2.4127 -1.7971
-2.8982 -3.6020 8.9238
-10.6618 10.5951 0.8140
Zr Sb
8 16
Direct
0.0000 0.8310 0.4930
0.5000 0.6690 0.9930
0.5000 0.5201 0.2489
0.0000 0.0201 0.2511
0.0000 0.1690 0.5070
0.0000 0.9799 0.7489
0.5000 0.4799 0.7511
0.5000 0.3310 0.0070
0.5000 0.6165 0.4418
0.5000 0.7713 0.8021
0.5000 0.3835 0.5582
0.0000 0.7287 0.3021
0.5000 0.1628 0.8409
0.0000 0.2713 0.6979
0.5000 0.8372 0.1591
0.0000 0.5120 0.1024
0.5000 0.2287 0.1979
0.0000 0.8835 0.9418
0.0000 0.1165 0.0582
0.0000 0.4880 0.8976
0.5000 0.9880 0.6024
0.0000 0.3372 0.3409
0.0000 0.6628 0.6591
0.5000 0.0120 0.3976
```

Results
The value obtained for the energy relative to the elements is -14.56 kcal/mol of atoms. The crystal system is orthorhombic. As for the mass density: 7.47 g/cm3. The calculated volume comes out at 24.80 Å³ per atom.



Entry from the Materials Project database: a relaxed Zr2Sb crystal (r2SCAN).

```
Zr2Sb
1.0
4.0065 0.0000 -1.0115
-0.2554 3.9983 -1.0115
0.0163 0.0173 8.5051
Sb Zr
2 4
Direct
0.1383 0.1383 0.2767
0.8617 0.8617 0.7233
0.6776 0.6776 0.3552
0.3224 0.3224 0.6448
0.5000 0.0000 0.0000
0.0000 0.5000 0.0000
```

Results
The value obtained for the energy relative to the elements is -17.10 kcal/mol of atoms. The crystal system is tetragonal. As for the mass density: 7.41 g/cm3. The calculated volume comes out at 22.73 Å³ per atom.



Entry from the Materials Project database: a relaxed Zr11Sb18 crystal (r2SCAN).

```
Zr11Sb18
1.0
6.7760 0.0000 -0.7588
-0.0850 6.7755 -0.7588
-0.0008 -0.0008 30.6285
Sb Zr
36 22
Direct
0.7159 0.6250 0.7500
0.2372 0.7301 0.1386
0.3750 0.9659 0.2500
0.2097 0.3288 0.9700
0.2232 0.1998 0.0846
0.5403 0.6088 0.5300
0.3588 0.7903 0.0300
0.1997 0.5581 0.8075
0.0341 0.1250 0.7500
0.3912 0.0103 0.4700
0.0788 0.4597 0.4700
0.5915 0.7628 0.8614
0.4419 0.3922 0.1925
0.6078 0.2494 0.8075
0.9994 0.8578 0.3075
0.9013 0.4085 0.1386
0.1422 0.6919 0.6925
0.3081 0.4497 0.3075
0.1585 0.1513 0.6386
0.6712 0.2397 0.0300
0.8487 0.5199 0.3614
0.8750 0.2841 0.2500
0.5268 0.3652 0.4154
0.8614 0.8848 0.0846
0.8886 0.0502 0.4154
0.2699 0.0987 0.8614
0.9498 0.4732 0.5846
0.7506 0.8003 0.1925
0.8002 0.1386 0.9154
0.5503 0.0006 0.6925
0.7603 0.6412 0.9700
0.1152 0.7768 0.9154
0.5128 0.8415 0.3614
0.6348 0.1114 0.5846
0.4801 0.4872 0.6386
0.9897 0.9212 0.5300
0.0000 0.0000 0.0000
0.2739 0.2739 0.5478
0.7500 0.2500 0.5000
0.9333 0.4333 0.8666
0.8389 0.3389 0.6779
0.6370 0.6370 0.2741
0.1130 0.6130 0.2259
0.4761 0.9761 0.9522
0.6611 0.1611 0.3221
0.4520 0.4520 0.9041
0.9111 0.9111 0.8221
0.0239 0.5239 0.0478
0.1833 0.1833 0.3666
0.3870 0.8870 0.7741
0.7261 0.7261 0.4522
0.5480 0.5480 0.0959
0.2980 0.7980 0.5959
0.3630 0.3630 0.7259
0.5667 0.0667 0.1334
0.2020 0.7020 0.4041
0.8167 0.8167 0.6334
0.0889 0.0889 0.1779
```

Results
The value obtained for the energy relative to the elements is -15.24 kcal/mol of atoms. The crystal system is tetragonal. As for the mass density: 7.55 g/cm3. The calculated volume comes out at 24.24 Å³ per atom.



Entry from the Materials Project database: a relaxed ScSe crystal (r2SCAN).

```
ScSe
1.0
3.3484 0.0000 1.9332
1.1161 3.1569 1.9332
0.0000 0.0000 3.8664
Se Sc
1 1
Direct
0.5000 0.5000 0.5000
0.0000 0.0000 0.0000
```

Results
The value obtained for the energy relative to the elements is -41.25 kcal/mol of atoms. The crystal system is cubic. As for the mass density: 5.03 g/cm3. The calculated volume comes out at 20.43 Å³ per atom.



What are the total magnetic moment values for these records? In order: 0.0 0.0 0.0 0.0 0.0 0.0 0.0 0.0 0.0 0.0 0.0 0.0 μB/cell.